No. 1
Below is a relaxed In2AgSe3I crystal, with properties calculated at the PBE level.

Output
Relative energy among the computed polymorphs = 27 meV/atom
Symmetry = No. 166

Cell lengths 8.2693, 8.2693, 8.2693 Å; angles 60.47, 60.47, 60.47 degrees
Fractional positions:
1 In 0.0000 0.0000 0.0000
2 In 0.0000 0.5000 0.0000
3 In 0.5000 0.0000 0.0000
4 In 0.0000 0.0000 0.5000
5 Ag 0.5849 0.5849 0.5849
6 Ag 0.4151 0.4151 0.4151
7 Se 0.2417 0.7906 0.2417
8 Se 0.7906 0.2417 0.2417
9 Se 0.2417 0.2417 0.7906
10 Se 0.7583 0.2094 0.7583
11 Se 0.2094 0.7583 0.7583
12 Se 0.7583 0.7583 0.2094
13 I 0.2643 0.2643 0.2643
14 I 0.7357 0.7357 0.7357

No. 2
Below is a relaxed DyCr3S6 crystal, with properties calculated at the PBE level.

Output
Relative energy among the computed polymorphs = 0 meV/atom
Symmetry = No. 31

Cell lengths 10.6954, 10.8499, 12.6521 Å; angles 90.00, 90.00, 90.00 degrees
Fractional positions:
1 Dy 0.0000 0.4895 0.1647
2 Dy 0.0000 0.9876 0.0002
3 Dy 0.1665 0.5171 0.6629
4 Dy 0.3335 0.4829 0.1629
5 Dy 0.5000 0.0124 0.5002
6 Dy 0.5000 0.5105 0.6647
7 Dy 0.6665 0.4829 0.1629
8 Dy 0.8335 0.5171 0.6629
9 Cr 0.0000 0.3319 0.4265
10 Cr 0.0000 0.8058 0.2238
11 Cr 0.0000 0.3019 0.9435
12 Cr 0.0000 0.8450 0.7363
13 Cr 0.1672 0.6649 0.9278
14 Cr 0.1639 0.1903 0.7127
15 Cr 0.1643 0.7082 0.4476
16 Cr 0.1645 0.1542 0.2391
17 Cr 0.3355 0.8458 0.7391
18 Cr 0.3357 0.2918 0.9476
19 Cr 0.3361 0.8097 0.2127
20 Cr 0.3328 0.3351 0.4278
21 Cr 0.5000 0.1550 0.2363
22 Cr 0.5000 0.1942 0.7238
23 Cr 0.5000 0.6681 0.9265
24 Cr 0.5000 0.6981 0.4435
25 Cr 0.6672 0.3351 0.4278
26 Cr 0.6639 0.8097 0.2127
27 Cr 0.6643 0.2918 0.9476
28 Cr 0.6645 0.8458 0.7391
29 Cr 0.8355 0.1542 0.2391
30 Cr 0.8357 0.7082 0.4476
31 Cr 0.8361 0.1903 0.7127
32 Cr 0.8328 0.6649 0.9278
33 S 0.0000 0.2115 0.1190
34 S 0.0000 0.1279 0.3622
35 S 0.0000 0.0533 0.6704
36 S 0.0000 0.7136 0.0447
37 S 0.0000 0.5540 0.4940
38 S 0.0000 0.3424 0.7573
39 S 0.0000 0.8416 0.4048
40 S 0.0000 0.6336 0.8003
41 S 0.1656 0.8707 0.8638
42 S 0.1660 0.2978 0.5462
43 S 0.1631 0.1620 0.9007
44 S 0.1672 0.7756 0.6240
45 S 0.1634 0.9458 0.1730
46 S 0.1655 0.3648 0.2987
47 S 0.1673 0.6561 0.2603
48 S 0.1649 0.4501 0.9964
49 S 0.3351 0.5499 0.4964
50 S 0.3327 0.3439 0.7603
51 S 0.3345 0.6352 0.7987
52 S 0.3366 0.0542 0.6730
53 S 0.3328 0.2244 0.1240
54 S 0.3369 0.8380 0.4007
55 S 0.3340 0.7022 0.0462
56 S 0.3344 0.1293 0.3638
57 S 0.5000 0.2864 0.5447
58 S 0.5000 0.6576 0.2573
59 S 0.5000 0.7885 0.6190
60 S 0.5000 0.1584 0.9048
61 S 0.5000 0.3664 0.3003
62 S 0.5000 0.4460 0.9940
63 S 0.5000 0.9467 0.1704
64 S 0.5000 0.8721 0.8622
65 S 0.6656 0.1293 0.3638
66 S 0.6660 0.7022 0.0462
67 S 0.6631 0.8380 0.4007
68 S 0.6672 0.2244 0.1240
69 S 0.6634 0.0542 0.6730
70 S 0.6655 0.6352 0.7987
71 S 0.6673 0.3439 0.7603
72 S 0.6649 0.5499 0.4964
73 S 0.8351 0.4501 0.9964
74 S 0.8327 0.6561 0.2603
75 S 0.8345 0.3648 0.2987
76 S 0.8366 0.9458 0.1730
77 S 0.8328 0.7756 0.6240
78 S 0.8369 0.1620 0.9007
79 S 0.8340 0.2978 0.5462
80 S 0.8344 0.8707 0.8638

No. 3
Below is a relaxed TaBeB crystal, with properties calculated at the PBE level.

Output
Symmetry = No. 187

Cell lengths 3.2607, 3.2607, 3.2622 Å; angles 90.00, 90.00, 120.00 degrees
Fractional positions:
1 Ta 0.0000 0.0000 0.0000
2 Be 0.3333 0.6667 0.5000
3 B 0.6666 0.3333 0.5000

Number 1: E -0.12236 Ha/atom, energy of formation -3.339 eV/f.u.. Number 2: E -0.25233 Ha/atom, energy of formation -13.297 eV/f.u.. Number 3: E -0.29778 Ha/atom, energy of formation -2.032 eV/f.u..